A relaxed AgBrO3 crystal, computed with r²SCAN.

Summary:
- E_tot: -51.9 eV/cell
- DFT formation energy: 0.639 eV per formula unit

abc: 4.3038 4.3038 4.3038
angles: 81.39 81.39 81.39
Atoms (fractional coordinates):
Ag1 0.9594 0.9594 0.9594
Br1 0.4930 0.4930 0.4930
O1 0.5676 0.0972 0.5676
O2 0.0972 0.5676 0.5676
O3 0.5676 0.5676 0.0972